Record 1
Density functional theory data (GGA-PBE) for K2LiBiI6 after structural relaxation.

abc: 8.534 8.534 8.534
angles: 60.00 60.00 60.00
Fractional coordinates of all 10 atoms:
K: 0.250 0.250 0.250
K: 0.750 0.750 0.750
Li: 0.000 0.000 0.000
Bi: 0.500 0.500 0.500
I: 0.245 0.245 0.755
I: 0.245 0.755 0.245
I: 0.245 0.755 0.755
I: 0.755 0.245 0.245
I: 0.755 0.245 0.755
I: 0.755 0.755 0.245

Computed properties:
Its space group is Fm-3m (225). The crystal system is cubic.



Record 2
Density functional theory data (GGA-PBE) for LiTb5Sn3 after structural relaxation.

abc: 9.249 9.249 6.635
angles: 90.00 90.00 120.00
Fractional coordinates of all 18 atoms:
Li: 0.000 0.000 0.000
Li: 0.000 0.000 0.500
Tb: 0.000 0.277 0.250
Tb: 0.000 0.723 0.750
Tb: 0.277 0.000 0.250
Tb: 0.277 0.277 0.750
Tb: 0.333 0.667 0.000
Tb: 0.333 0.667 0.500
Tb: 0.667 0.333 0.000
Tb: 0.667 0.333 0.500
Tb: 0.723 0.000 0.750
Tb: 0.723 0.723 0.250
Sn: 0.000 0.378 0.750
Sn: 0.000 0.622 0.250
Sn: 0.378 0.000 0.750
Sn: 0.378 0.378 0.250
Sn: 0.622 0.000 0.250
Sn: 0.622 0.622 0.750

Computed properties:
Its space group is P6_3/mcm (193). The crystal system is hexagonal.



Record 3
Density functional theory data (GGA-PBE) for CsMoN2 after structural relaxation.

abc: 8.770 6.200 12.396
angles: 90.00 90.00 90.00
Fractional coordinates of all 32 atoms:
Cs: 0.125 0.214 0.250
Cs: 0.125 0.286 0.750
Cs: 0.374 0.250 0.000
Cs: 0.374 0.250 0.500
Cs: 0.626 0.750 0.000
Cs: 0.626 0.750 0.500
Cs: 0.875 0.714 0.250
Cs: 0.875 0.786 0.750
Mo: 0.126 0.750 0.000
Mo: 0.126 0.750 0.500
Mo: 0.376 0.728 0.250
Mo: 0.376 0.772 0.750
Mo: 0.624 0.228 0.250
Mo: 0.624 0.272 0.750
Mo: 0.874 0.250 0.000
Mo: 0.874 0.250 0.500
N: 0.000 0.000 0.000
N: 0.000 0.000 0.500
N: 0.000 0.500 0.000
N: 0.000 0.500 0.500
N: 0.251 0.747 0.125
N: 0.251 0.747 0.375
N: 0.251 0.753 0.625
N: 0.251 0.753 0.875
N: 0.484 0.038 0.750
N: 0.484 0.462 0.250
N: 0.516 0.538 0.750
N: 0.516 0.962 0.250
N: 0.749 0.247 0.125
N: 0.749 0.247 0.375
N: 0.749 0.253 0.625
N: 0.749 0.253 0.875

Computed properties:
Its space group is Pbcm (57). The crystal system is orthorhombic.



Record 4
Density functional theory data (GGA-PBE) for BaTi7O14 after structural relaxation.

abc: 7.388 7.390 20.603
angles: 80.33 80.33 87.70
Fractional coordinates of all 88 atoms:
Ba: 0.096 0.097 0.403
Ba: 0.364 0.364 0.136
Ba: 0.636 0.636 0.864
Ba: 0.904 0.903 0.597
Ti: 0.013 0.670 0.306
Ti: 0.070 0.367 0.953
Ti: 0.085 0.779 0.905
Ti: 0.135 0.464 0.549
Ti: 0.151 0.828 0.165
Ti: 0.198 0.507 0.809
Ti: 0.218 0.918 0.762
Ti: 0.275 0.606 0.407
Ti: 0.299 0.956 0.021
Ti: 0.358 0.652 0.668
Ti: 0.364 0.067 0.619
Ti: 0.417 0.758 0.264
Ti: 0.437 0.112 0.879
Ti: 0.486 0.796 0.523
Ti: 0.514 0.204 0.477
Ti: 0.563 0.888 0.121
Ti: 0.583 0.242 0.736
Ti: 0.636 0.933 0.381
Ti: 0.642 0.348 0.332
Ti: 0.701 0.044 0.979
Ti: 0.725 0.394 0.593
Ti: 0.782 0.082 0.238
Ti: 0.802 0.493 0.191
Ti: 0.849 0.172 0.835
Ti: 0.865 0.536 0.451
Ti: 0.915 0.221 0.095
Ti: 0.930 0.633 0.047
Ti: 0.987 0.330 0.694
O: 0.005 0.345 0.864
O: 0.034 0.114 0.761
O: 0.038 0.730 0.816
O: 0.066 0.671 0.479
O: 0.075 0.474 0.380
O: 0.099 0.411 0.044
O: 0.115 0.036 0.095
O: 0.129 0.800 0.995
O: 0.157 0.487 0.719
O: 0.171 0.252 0.619
O: 0.184 0.874 0.671
O: 0.210 0.809 0.335
O: 0.218 0.622 0.235
O: 0.248 0.555 0.899
O: 0.252 0.171 0.953
O: 0.280 0.939 0.851
O: 0.294 0.630 0.578
O: 0.317 0.393 0.475
O: 0.322 0.017 0.528
O: 0.355 0.956 0.191
O: 0.360 0.759 0.094
O: 0.385 0.696 0.758
O: 0.400 0.322 0.810
O: 0.415 0.085 0.709
O: 0.434 0.777 0.434
O: 0.461 0.543 0.334
O: 0.468 0.159 0.386
O: 0.496 0.093 0.050
O: 0.504 0.907 0.950
O: 0.532 0.841 0.614
O: 0.539 0.457 0.666
O: 0.566 0.223 0.566
O: 0.585 0.915 0.291
O: 0.600 0.678 0.190
O: 0.615 0.304 0.242
O: 0.640 0.241 0.906
O: 0.645 0.044 0.809
O: 0.678 0.983 0.472
O: 0.683 0.607 0.525
O: 0.706 0.370 0.422
O: 0.720 0.061 0.149
O: 0.748 0.829 0.047
O: 0.752 0.445 0.101
O: 0.782 0.378 0.765
O: 0.790 0.191 0.665
O: 0.816 0.126 0.329
O: 0.829 0.748 0.381
O: 0.843 0.513 0.281
O: 0.871 0.200 0.005
O: 0.885 0.964 0.905
O: 0.901 0.589 0.956
O: 0.925 0.526 0.620
O: 0.934 0.329 0.521
O: 0.962 0.270 0.184
O: 0.966 0.886 0.239
O: 0.995 0.655 0.136

Computed properties:
Its space group is P-1 (2). The crystal system is triclinic.



Record 5
Density functional theory data (GGA-PBE) for K2Ca3Si3O10 after structural relaxation.

abc: 7.499 7.499 9.929
angles: 108.96 108.96 91.68
Fractional coordinates of all 36 atoms:
K: 0.026 0.269 0.011
K: 0.269 0.026 0.511
K: 0.731 0.974 0.489
K: 0.974 0.731 0.989
Ca: 0.130 0.870 0.750
Ca: 0.278 0.516 0.522
Ca: 0.484 0.722 0.978
Ca: 0.516 0.278 0.022
Ca: 0.722 0.484 0.478
Ca: 0.870 0.130 0.250
Si: 0.076 0.352 0.708
Si: 0.341 0.659 0.250
Si: 0.352 0.076 0.208
Si: 0.648 0.924 0.792
Si: 0.659 0.341 0.750
Si: 0.924 0.648 0.292
O: 0.006 0.713 0.481
O: 0.115 0.620 0.237
O: 0.180 0.190 0.767
O: 0.190 0.180 0.267
O: 0.196 0.566 0.773
O: 0.287 0.994 0.019
O: 0.361 0.528 0.092
O: 0.380 0.885 0.263
O: 0.434 0.804 0.727
O: 0.472 0.639 0.408
O: 0.528 0.361 0.592
O: 0.566 0.196 0.273
O: 0.620 0.115 0.737
O: 0.639 0.472 0.908
O: 0.713 0.006 0.981
O: 0.804 0.434 0.227
O: 0.810 0.820 0.733
O: 0.820 0.810 0.233
O: 0.885 0.380 0.763
O: 0.994 0.287 0.519

Computed properties:
The polymorph energy (0 for the lowest one) is 0.010 eV per atom. Its space group is C2/c (15). The crystal system is monoclinic.



no.,ΔH_f (0 K) (meV/atom)
1,-1185
2,-580
3,-597
4,-3481
5,-3197